Entry 1:
VASP calculation (GGA-PBE) on an optimized crystal structure of Nb6Ni7.

Cell and atoms, written as POSCAR:
```
Nb6Ni7
1.0
-8.0604 3.5634 -2.8863
-8.7950 2.3315 1.7917
-6.5436 6.5344 0.6932
Nb Ni
6 7
direct
0.8314 0.8314 0.8314
0.6555 0.6555 0.6555
0.3445 0.3445 0.3445
0.1686 0.1686 0.1686
0.4507 0.4507 0.4507
0.5493 0.5493 0.5493
0.0906 0.0906 0.5912
0.4088 0.9094 0.9094
0.5912 0.0906 0.0906
0.0906 0.5912 0.0906
0.0000 0.0000 0.0000
0.9094 0.4088 0.9094
0.9094 0.9094 0.4088
```

## Properties
**Density**: 8.78 g cm⁻³
**VASP energy**: -7.985 eV/atom

Entry 2:
VASP calculation (GGA-PBE) on an optimized crystal structure of HoH3.

Cell and atoms, written as POSCAR:
```
HoH3
1.0
4.4289 3.1285 -3.1645
-4.7461 -2.7081 -3.0916
-3.4985 5.5064 0.5474
H Ho
18 6
direct
0.9720 0.6509 0.0922
0.9720 0.3211 0.5922
0.0280 0.6789 0.4078
0.3491 0.3211 0.0922
0.6509 0.9720 0.4078
0.3211 0.9720 0.9078
0.3333 0.6667 0.6811
0.0280 0.3491 0.9078
0.6667 0.3333 0.8189
0.6667 0.3333 0.3189
0.6789 0.0280 0.0922
0.3333 0.6667 0.1811
0.3211 0.3491 0.4078
0.6509 0.6789 0.9078
0.6789 0.6509 0.5922
0.3491 0.0280 0.5922
0.0000 0.0000 0.2500
0.0000 0.0000 0.7500
0.3367 0.0000 0.2500
0.3367 0.3367 0.7500
0.0000 0.3367 0.2500
0.6633 0.6633 0.2500
0.6633 0.0000 0.7500
0.0000 0.6633 0.7500
```

## Properties
**Total energy after the MP2020 corrections**: -4.42 eV/atom
**Density**: 7.49 g cm⁻³
**VASP energy**: -4.290 eV/atom

Entry 3:
VASP calculation (GGA-PBE) on an optimized crystal structure of BaLi2Mg2Ge2.

Cell and atoms, written as POSCAR:
```
BaLi2Mg2Ge2
1.0
-4.5733 0.3699 0.5516
-1.9114 4.1432 0.7322
-3.1164 2.5918 -8.2174
Li Ge Mg Ba
2 2 2 1
direct
0.5702 0.5702 0.2893
0.4298 0.4298 0.7107
0.7569 0.7569 0.7292
0.2431 0.2431 0.2708
0.1358 0.1358 0.5926
0.8642 0.8642 0.4074
0.0000 0.0000 0.0000
```

## Properties
**Density**: 3.53 g cm⁻³
**VASP energy**: -3.027 eV/atom

Entry 4:
VASP calculation (GGA-PBE) on an optimized crystal structure of Ba5Y3Br19.

Cell and atoms, written as POSCAR:
```
Ba5Y3Br19
1.0
10.6128 0.0000 0.0000
3.0162 13.9040 0.0000
5.0902 0.0107 14.1923
Br Y Ba
38 6 10
direct
0.5725 0.3865 0.7837
0.4209 0.7293 0.4467
0.2147 0.3809 0.7904
0.3809 0.2021 0.3744
0.2338 0.4886 0.0248
0.5934 0.4358 0.3690
0.9905 0.2428 0.3952
0.7613 0.8525 0.3229
0.1644 0.4603 0.2962
0.1204 0.7999 0.3451
0.0095 0.7572 0.6048
0.6191 0.7979 0.6256
0.1068 0.3763 0.5594
0.4555 0.6700 0.8498
0.2433 0.1948 0.9634
0.2906 0.8106 0.0809
0.4275 0.6135 0.2163
0.4066 0.5642 0.6310
0.7662 0.5114 0.9752
0.1401 0.0651 0.1993
0.8599 0.9349 0.8007
0.2202 0.9789 0.4941
0.7798 0.0211 0.5059
0.0000 0.0000 0.0000
0.8356 0.5397 0.7038
0.3627 0.9529 0.8196
0.7567 0.8052 0.0366
0.5791 0.2707 0.5533
0.8796 0.2001 0.6549
0.0964 0.6776 0.8359
0.7094 0.1894 0.9191
0.5445 0.3300 0.1502
0.2387 0.1475 0.6771
0.7853 0.6191 0.2096
0.5000 0.0000 0.0000
0.6373 0.0471 0.1804
0.8932 0.6237 0.4406
0.9036 0.3224 0.1641
0.3253 0.5291 0.8291
0.1497 0.1752 0.5214
0.2434 0.9969 0.0145
0.6747 0.4709 0.1709
0.8503 0.8248 0.4786
0.7566 0.0031 0.9855
0.4928 0.1744 0.7543
0.0814 0.6593 0.1967
0.9186 0.3407 0.8033
0.7605 0.7243 0.8284
0.7671 0.4272 0.5457
0.5072 0.8256 0.2457
0.2841 0.8119 0.6619
0.2329 0.5728 0.4543
0.7159 0.1881 0.3381
0.2395 0.2757 0.1716
```

## Properties
**Total energy after the MP2020 corrections**: -4.61 eV/atom
**Density**: 3.92 g cm⁻³
**VASP energy**: -4.237 eV/atom

Entry 5:
VASP calculation (GGA-PBE) on an optimized crystal structure of Zr3TePb4O13.

Cell and atoms, written as POSCAR:
```
Zr3TePb4O13
1.0
-0.6519 -1.3950 7.5361
-2.5536 -6.8306 2.4467
4.8207 -4.9080 3.4405
Pb O Zr Te
4 13 3 1
direct
0.9983 0.9983 0.9983
0.5015 0.0006 0.0006
0.0006 0.5015 0.0006
0.0006 0.0006 0.5015
0.4356 0.8005 0.4356
0.8717 0.8717 0.8717
0.5664 0.5664 0.1989
0.1679 0.1679 0.5714
0.4356 0.4356 0.8005
0.8005 0.4356 0.4356
0.1679 0.5714 0.1679
0.8283 0.4340 0.8283
0.1989 0.5664 0.5664
0.4340 0.8283 0.8283
0.5714 0.1679 0.1679
0.5664 0.1989 0.5664
0.8283 0.8283 0.4340
0.5008 0.5008 0.9989
0.9989 0.5008 0.5008
0.5008 0.9989 0.5008
0.5004 0.5004 0.5004
```

## Properties
**Total energy after the MP2020 corrections**: -7.66 eV/atom
**Density**: 7.43 g cm⁻³
**VASP energy**: -7.236 eV/atom

Entry 6:
VASP calculation (GGA-PBE) on an optimized crystal structure of KNaTiH2O3F4.

Cell and atoms, written as POSCAR:
```
KNaTiH2O3F4
1.0
11.0713 0.4280 0.0000
-2.3719 10.0880 0.0000
0.0000 0.0000 6.4200
F O H Ti K Na
16 12 8 4 4 4
direct
0.7859 0.3796 0.2949
0.7859 0.8796 0.2051
0.0923 0.8688 0.7336
0.2141 0.6204 0.7051
0.0268 0.9236 0.3614
0.9732 0.0764 0.6386
0.8238 0.3297 0.8848
0.0923 0.3688 0.7664
0.1762 0.1703 0.3848
0.8238 0.8297 0.6152
0.1762 0.6703 0.1152
0.9077 0.1312 0.2664
0.2141 0.1204 0.7949
0.0268 0.4236 0.1386
0.9732 0.5764 0.8614
0.9077 0.6312 0.2336
0.5210 0.1720 0.6344
0.7256 0.5480 0.9725
0.4461 0.9257 0.2554
0.5539 0.5743 0.7554
0.4461 0.4257 0.2446
0.7256 0.0480 0.5275
0.2744 0.4520 0.0275
0.5210 0.6720 0.8656
0.2744 0.9520 0.4725
0.4790 0.8280 0.3656
0.5539 0.0743 0.7446
0.4790 0.3280 0.1344
0.0052 0.4925 0.4441
0.9948 0.0075 0.9441
0.0052 0.9925 0.0559
0.3562 0.9482 0.3618
0.6438 0.5518 0.8618
0.6438 0.0518 0.6382
0.9948 0.5075 0.5559
0.3562 0.4482 0.1382
0.8482 0.9802 0.4401
0.8482 0.4802 0.0599
0.1518 0.5198 0.9401
0.1518 0.0198 0.5599
0.3657 0.8478 0.8352
0.3657 0.3478 0.6648
0.6343 0.6522 0.3352
0.6343 0.1522 0.1648
0.9003 0.7796 0.9330
0.9003 0.2796 0.5670
0.0997 0.2204 0.0670
0.0997 0.7204 0.4330
```

## Properties
**Total energy after the MP2020 corrections**: -5.55 eV/atom
**Density**: 2.17 g cm⁻³
**VASP energy**: -5.360 eV/atom
**Energy relative to the lowest polymorph listed for this composition**: 305 meV/atom

Entry 7:
VASP calculation (GGA-PBE) on an optimized crystal structure of SrH2O2.

Cell and atoms, written as POSCAR:
```
SrH2O2
1.0
3.9969 0.0000 0.0000
0.0000 6.0779 0.0000
0.0000 0.0000 10.0721
H O Sr
8 8 4
direct
0.5000 0.4261 0.0910
0.5000 0.9111 0.5387
0.0000 0.3739 0.9666
0.5000 0.5739 0.5910
0.0000 0.0644 0.9081
0.5000 0.0889 0.0387
0.0000 0.6261 0.4666
0.0000 0.9356 0.4081
0.5000 0.1051 0.1354
0.0000 0.6167 0.3694
0.0000 0.3833 0.8694
0.5000 0.8949 0.6354
0.0000 0.0971 0.4007
0.5000 0.5862 0.1046
0.0000 0.9029 0.9007
0.5000 0.4138 0.6046
0.0000 0.8398 0.1605
0.5000 0.3465 0.3412
0.0000 0.1602 0.6605
0.5000 0.6535 0.8412
```

## Properties
**Total energy after the MP2020 corrections**: -5.79 eV/atom
**Density**: 3.30 g cm⁻³
**VASP energy**: -5.514 eV/atom

Entry 8:
VASP calculation (GGA-PBE) on an optimized crystal structure of Na10Zn4O9.

Cell and atoms, written as POSCAR:
```
Na10Zn4O9
1.0
5.4458 6.8565 0.0000
-5.4458 6.8565 0.0000
0.0000 2.4143 8.4027
Zn O Na
8 18 20
direct
0.4229 0.4104 0.4045
0.0268 0.0362 0.3314
0.9638 0.9732 0.6686
0.6715 0.9680 0.9686
0.5896 0.5771 0.5955
0.9638 0.6639 0.9696
0.3361 0.0362 0.0304
0.0320 0.3285 0.0314
0.0878 0.1270 0.5053
0.5094 0.1998 0.5081
0.4863 0.4975 0.8052
0.2060 0.5013 0.5038
0.8902 0.2003 0.1928
0.8825 0.4917 0.8938
0.5007 0.8982 0.8909
0.7997 0.1098 0.8072
0.1018 0.4993 0.1091
0.5083 0.1175 0.1062
0.2213 0.9102 0.2223
0.8002 0.4906 0.4919
0.4987 0.7940 0.4962
0.7907 0.7909 0.1023
0.8730 0.9122 0.4947
0.5025 0.5137 0.1948
0.0898 0.7787 0.7777
0.2091 0.2093 0.8977
0.3693 0.3822 0.0616
0.2492 0.1986 0.6390
0.2372 0.7628 0.5000
0.3472 0.7797 0.7891
0.5076 0.7715 0.2276
0.6095 0.9407 0.6254
0.3562 0.0517 0.3682
0.9999 0.0001 0.0000
0.6178 0.6307 0.9384
0.0593 0.3905 0.3746
0.7722 0.2278 0.5000
0.6997 0.3003 0.0000
0.9483 0.6438 0.6318
0.2203 0.6528 0.2109
0.9148 0.3281 0.7083
0.5149 0.2316 0.7745
0.8014 0.7508 0.3610
0.2285 0.4924 0.7724
0.6719 0.0852 0.2917
0.7684 0.4851 0.2255
```

## Properties
**Total energy after the MP2020 corrections**: -4.36 eV/atom
**Density**: 3.36 g cm⁻³
**VASP energy**: -4.095 eV/atom

Entry 9:
VASP calculation (GGA-PBE) on an optimized crystal structure of Bi7RhBr8.

Cell and atoms, written as POSCAR:
```
Bi7RhBr8
1.0
-6.5142 -0.1059 13.9908
-7.8866 -3.7672 -3.7006
-1.2980 -18.8738 -0.7472
Br Rh Bi
32 4 28
direct
0.0603 0.1198 0.1051
0.3892 0.4789 0.3121
0.9397 0.8802 0.8949
0.7842 0.8304 0.5078
0.1589 0.7775 0.0291
0.1387 0.5735 0.2682
0.4251 0.9696 0.1938
0.9475 0.3239 0.4360
0.8144 0.0968 0.6640
0.8613 0.4265 0.7318
0.0525 0.6761 0.5640
0.2158 0.1696 0.4922
0.5603 0.8802 0.3949
0.6589 0.2225 0.4709
0.4475 0.6761 0.0640
0.5525 0.3239 0.9360
0.6108 0.5211 0.6879
0.3613 0.5735 0.7682
0.6856 0.0968 0.1640
0.4397 0.1198 0.6051
0.2842 0.1696 0.9922
0.7158 0.8304 0.0078
0.0749 0.9696 0.6938
0.6387 0.4265 0.2318
0.1856 0.9032 0.3360
0.3411 0.7775 0.5291
0.8411 0.2225 0.9709
0.9251 0.0304 0.3062
0.1108 0.4789 0.8121
0.5749 0.0304 0.8062
0.8892 0.5211 0.1879
0.3144 0.9032 0.8360
0.2366 0.3339 0.6615
0.7634 0.6661 0.3385
0.7366 0.6661 0.8385
0.2634 0.3339 0.1615
0.6397 0.7357 0.2222
0.7635 0.9619 0.8290
0.2635 0.0381 0.6710
0.7140 0.3707 0.8475
0.8904 0.5652 0.9178
0.2050 0.4540 0.5010
0.2140 0.6293 0.6525
0.7050 0.5460 0.9990
0.0625 0.3136 0.6389
0.8408 0.8023 0.1909
0.2950 0.4540 0.0010
0.1397 0.2643 0.2778
0.6096 0.5652 0.4178
0.3904 0.4348 0.5822
0.2365 0.0381 0.1710
0.6592 0.8023 0.6909
0.2860 0.6293 0.1525
0.7950 0.5460 0.4990
0.5625 0.6864 0.8611
0.3408 0.1977 0.3091
0.9375 0.6864 0.3611
0.7365 0.9619 0.3290
0.1096 0.4348 0.0822
0.8603 0.7357 0.7222
0.3603 0.2643 0.7778
0.7860 0.3707 0.3475
0.4375 0.3136 0.1389
0.1592 0.1977 0.8091
```

## Properties
**Total energy after the MP2020 corrections**: -3.77 eV/atom
**Density**: 5.98 g cm⁻³
**VASP energy**: -3.502 eV/atom

Entry 10:
VASP calculation (GGA-PBE) on an optimized crystal structure of NaHoPd6O8.

Cell and atoms, written as POSCAR:
```
NaHoPd6O8
1.0
-3.2575 -1.9519 -4.4210
-3.9782 -1.9442 3.7895
-2.7440 5.1358 -0.2457
O Pd Na Ho
8 6 1 1
direct
0.2392 0.7608 0.7608
0.7608 0.2392 0.7608
0.7608 0.2392 0.2392
0.7608 0.7608 0.7608
0.2392 0.7608 0.2392
0.7608 0.7608 0.2392
0.2392 0.2392 0.7608
0.2392 0.2392 0.2392
0.5000 0.7493 0.0000
0.7493 0.0000 0.5000
0.2507 0.0000 0.5000
0.0000 0.5000 0.2507
0.5000 0.2507 0.0000
0.0000 0.5000 0.7493
0.5000 0.5000 0.5000
0.0000 0.0000 0.0000
```

## Properties
**Total energy after the MP2020 corrections**: -6.23 eV/atom
**Density**: 8.01 g cm⁻³
**VASP energy**: -5.888 eV/atom

Entry 11:
VASP calculation (GGA-PBE) on an optimized crystal structure of Ca2MgTl.

Cell and atoms, written as POSCAR:
```
Ca2MgTl
1.0
-1.2468 -5.0613 1.8171
0.4576 -1.1952 5.3699
-4.5339 -0.8000 3.0458
Tl Ca Mg
1 2 1
direct
0.0000 0.0000 0.0000
0.2500 0.2500 0.2500
0.7500 0.7500 0.7500
0.5000 0.5000 0.5000
```

## Properties
**Density**: 4.31 g cm⁻³
**VASP energy**: -2.282 eV/atom

Entry 12:
VASP calculation (GGA-PBE) on an optimized crystal structure of MgZr.

Cell and atoms, written as POSCAR:
```
MgZr
1.0
3.2654 0.0000 0.0000
0.0000 5.1085 0.0000
0.0000 0.0000 5.3199
Mg Zr
2 2
direct
0.0000 0.7500 0.1881
0.0000 0.2500 0.8119
0.5000 0.7500 0.6927
0.5000 0.2500 0.3073
```

## Properties
**Density**: 4.32 g cm⁻³
**VASP energy**: -4.976 eV/atom

Entry 13:
VASP calculation (GGA-PBE) on an optimized crystal structure of MgZn2.

Cell and atoms, written as POSCAR:
```
MgZn2
1.0
-3.5057 -0.7750 -4.5698
-5.0564 -2.8320 -0.4321
-5.3621 1.9972 -1.0166
Zn Mg
4 2
direct
0.5000 0.5000 0.5000
0.6620 0.3380 0.0000
0.0000 0.6620 0.3380
0.3380 0.0000 0.6620
0.1669 0.1669 0.1669
0.8331 0.8331 0.8331
```

## Properties
**Density**: 4.92 g cm⁻³
**VASP energy**: -1.373 eV/atom

Entry 14:
VASP calculation (GGA-PBE) on an optimized crystal structure of TaN.

Cell and atoms, written as POSCAR:
```
TaN
1.0
0.0000 0.0000 -2.9015
-1.4770 -2.5583 0.0000
-2.9540 0.0000 0.0000
Ta N
1 1
direct
0.5000 0.6667 0.6667
0.0000 0.0000 0.0000
```

## Properties
**Total energy after the MP2020 corrections**: -11.42 eV/atom
**Density**: 14.76 g cm⁻³
**VASP energy**: -11.242 eV/atom